(1)
# VOF2, relaxed, DFT GGA+U
data_VOF2
_cell_length_a 5.212
_cell_length_b 5.261
_cell_length_c 9.342
_cell_angle_alpha 74.97
_cell_angle_beta 74.67
_cell_angle_gamma 60.71
_symmetry_space_group_name_H-M 'P 1'
_symmetry_Int_Tables_number 1
loop_
_symmetry_equiv_pos_as_xyz
'x,y,z'
loop_
_atom_site_label
_atom_site_type_symbol
_atom_site_fract_x
_atom_site_fract_y
_atom_site_fract_z
V1 V 0.000 0.000 0.000
V2 V 0.223 0.254 0.246
V3 V 0.449 0.509 0.490
V4 V 0.758 0.768 0.744
O1 O 0.083 0.709 0.624
O2 O 0.166 0.054 0.113
O3 O 0.285 0.455 0.374
O4 O 0.776 0.937 0.867
F1 F 0.005 0.631 0.119
F2 F 0.362 0.780 0.865
F3 F 0.446 0.875 0.370
F4 F 0.511 0.117 0.623
F5 F 0.594 0.221 0.112
F6 F 0.670 0.547 0.619
F7 F 0.854 0.286 0.377
F8 F 0.937 0.372 0.857
# * E_form: -2.842 eV per atom



(2)
# VOF3, relaxed, DFT GGA+U
data_VOF3
_cell_length_a 8.769
_cell_length_b 8.769
_cell_length_c 4.027
_cell_angle_alpha 90.00
_cell_angle_beta 90.00
_cell_angle_gamma 90.00
_symmetry_space_group_name_H-M 'P -4 21 m'
_symmetry_Int_Tables_number 113
loop_
_symmetry_equiv_pos_as_xyz
'x,y,z'
'y,-x,-z'
'-x,-y,z'
'-y,x,-z'
'x+1/2,-y+1/2,-z'
'y+1/2,x+1/2,z'
'-x+1/2,y+1/2,-z'
'-y+1/2,-x+1/2,z'
loop_
_atom_site_label
_atom_site_type_symbol
_atom_site_fract_x
_atom_site_fract_y
_atom_site_fract_z
V1 V 0.127 0.373 0.185
O1 O 0.120 0.380 0.784
F1 F 0.094 0.594 0.269
F2 F 0.104 0.178 0.269
# * E_form: -2.701 eV per atom